Compound: Mn7FeP12O48
Source: Materials Project
Functional: PBE+U
Structure: relaxed

Properties
uncorrected energy = -476.3 eV for the cell shown
formation enthalpy at 0 K = -2.179 eV per atom

The structure in POSCAR format:
```
Mn7FeP12O48
1.0
0.5744 3.6167 -7.6727
-5.8066 5.7745 2.2882
8.6151 7.0833 3.9841
O P Mn Fe
48 12 7 1
Cartesian
4.9933 6.7425 -2.4852
5.4752 9.5976 3.6101
-0.4153 10.0323 3.3771
2.6335 10.9359 0.5116
-0.6567 1.3310 -0.0022
5.9113 8.3655 -0.4562
-1.0356 9.4130 -4.9068
6.3315 7.5236 1.9225
4.4134 7.0608 3.5263
3.0988 9.0935 -4.3184
1.4903 6.2137 -6.2532
4.2352 9.4089 -2.0591
-0.0337 7.8855 -1.9701
-2.9541 8.9492 -3.3243
-2.9575 4.8853 0.5821
0.5235 5.2268 1.5802
-0.8558 7.0346 0.6779
-3.9509 6.8284 1.9894
-1.6963 4.3904 -1.4433
7.7124 9.3953 0.8817
0.7813 5.5280 -1.9114
1.8945 10.2626 4.8479
2.4269 7.3495 -1.6509
4.3606 6.2101 0.0495
2.8566 11.2388 -2.9730
4.0381 15.1414 -1.3979
-2.5634 8.0965 -0.9655
0.7886 3.1374 -1.0727
2.1722 9.3756 2.4894
6.3442 11.5878 -1.9814
5.0783 12.0853 0.0427
-4.3448 7.0719 -2.2927
3.7900 6.4566 -4.7735
-0.9627 10.3088 -1.4550
0.5387 12.0996 -2.1826
-2.0941 6.8762 -5.0119
-0.9742 5.0041 -3.9244
2.8413 4.4042 0.7945
7.3297 9.6441 -3.3907
0.2833 7.3808 2.9188
3.4520 8.5741 0.5317
1.2682 3.7256 -3.8103
2.5907 13.3332 -0.3313
1.2286 7.0937 -3.8922
4.3541 11.4744 2.5270
0.9947 9.1323 0.2539
2.0991 12.7515 2.3929
-1.6330 9.7384 1.1193
-2.9758 4.0065 -0.6887
-3.5986 8.3792 -2.0473
6.9655 8.0881 0.6424
-0.8543 11.8272 -1.5691
2.6882 14.4354 -1.3967
4.2338 4.6752 0.1686
3.7935 10.0681 -3.3745
6.3567 12.4690 -0.7117
0.6941 2.0375 -0.0042
1.1304 6.9674 -2.3586
-0.4182 6.3963 1.9806
2.2758 9.4939 0.9583
0.9924 8.8333 3.8994
-0.1737 3.9547 -2.5246
3.5498 12.5200 1.1208
2.3998 7.6446 -5.3078
-2.7894 8.6530 -5.2163
4.1760 7.7599 -1.0700
6.1717 7.8209 3.8154
-0.8011 8.7092 -0.3196
```